[1]
Entry from the Materials Project: a relaxed structure of Ba2MnNbO6 (PBE+U).

Lattice parameters (Å, degrees): 10.114 10.114 10.114 132.37 131.87 70.04
Sites, in units of the cell vectors:
1 Ba 0.000 0.249 0.249
2 Ba 0.000 0.751 0.751
3 Ba 0.251 0.000 0.751
4 Ba 0.251 0.500 0.251
5 Ba 0.500 0.249 0.749
6 Ba 0.500 0.751 0.251
7 Ba 0.749 0.000 0.249
8 Ba 0.749 0.500 0.749
9 Mn 0.125 0.375 0.750
10 Mn 0.375 0.125 0.250
11 Mn 0.625 0.875 0.750
12 Mn 0.875 0.625 0.250
13 Nb 0.126 0.876 0.250
14 Nb 0.376 0.626 0.750
15 Nb 0.624 0.374 0.250
16 Nb 0.874 0.124 0.750
17 O 0.009 0.759 0.250
18 O 0.112 0.121 0.991
19 O 0.126 0.628 0.498
20 O 0.128 0.132 0.505
21 O 0.128 0.623 0.995
22 O 0.255 0.005 0.250
23 O 0.259 0.509 0.750
24 O 0.369 0.879 0.491
25 O 0.371 0.372 0.998
26 O 0.378 0.384 0.506
27 O 0.378 0.873 0.994
28 O 0.495 0.245 0.250
29 O 0.505 0.755 0.750
30 O 0.622 0.127 0.006
31 O 0.622 0.616 0.494
32 O 0.629 0.628 0.002
33 O 0.631 0.121 0.509
34 O 0.741 0.491 0.250
35 O 0.745 0.995 0.750
36 O 0.872 0.377 0.005
37 O 0.872 0.868 0.495
38 O 0.874 0.372 0.502
39 O 0.888 0.879 0.009
40 O 0.991 0.241 0.750

## Properties
SG = No. 74
Total DFT energy (no corrections) = -7.651 eV per atom
Spin magnetization = 4.000 μB per formula unit
Energy relative to the elements = -2.95 eV/atom

=====

[2]
Entry from the Materials Project: a relaxed structure of BaTiMnNbO6 (PBE+U).

Lattice parameters (Å, degrees): 5.692 5.692 5.692 60.00 60.00 60.00
Sites, in units of the cell vectors:
1 Ba 0.000 0.000 0.000
2 Ti 0.750 0.750 0.750
3 Mn 0.500 0.500 0.500
4 Nb 0.250 0.250 0.250
5 O 0.502 0.502 0.998
6 O 0.502 0.998 0.502
7 O 0.502 0.998 0.998
8 O 0.998 0.502 0.502
9 O 0.998 0.502 0.998
10 O 0.998 0.998 0.502

## Properties
SG = No. 216
Total DFT energy (no corrections) = -8.172 eV per atom
Energy relative to the elements = -2.87 eV/atom

=====

[3]
Entry from the Materials Project: a relaxed structure of Ba5Nd8Mn4O21 (PBE+U).

Lattice parameters (Å, degrees): 10.613 10.613 10.613 94.50 94.50 147.45
Sites, in units of the cell vectors:
1 Ba 0.000 0.000 0.000
2 Ba 0.136 0.469 0.605
3 Ba 0.469 0.864 0.334
4 Ba 0.531 0.136 0.666
5 Ba 0.864 0.531 0.395
6 Nd 0.169 0.753 0.921
7 Nd 0.247 0.169 0.416
8 Nd 0.357 0.589 0.946
9 Nd 0.411 0.357 0.768
10 Nd 0.589 0.643 0.232
11 Nd 0.643 0.411 0.054
12 Nd 0.753 0.831 0.584
13 Nd 0.831 0.247 0.079
14 Mn 0.040 0.252 0.292
15 Mn 0.252 0.960 0.212
16 Mn 0.748 0.040 0.788
17 Mn 0.960 0.748 0.708
18 O 0.013 0.606 0.111
19 O 0.032 0.623 0.655
20 O 0.068 0.201 0.775
21 O 0.098 0.987 0.593
22 O 0.201 0.427 0.133
23 O 0.294 0.068 0.867
24 O 0.377 0.032 0.409
25 O 0.394 0.505 0.407
26 O 0.427 0.294 0.225
27 O 0.495 0.902 0.889
28 O 0.500 0.500 0.000
29 O 0.505 0.098 0.111
30 O 0.573 0.706 0.775
31 O 0.606 0.495 0.593
32 O 0.623 0.968 0.591
33 O 0.706 0.932 0.133
34 O 0.799 0.573 0.867
35 O 0.902 0.013 0.407
36 O 0.932 0.799 0.225
37 O 0.968 0.377 0.345
38 O 0.987 0.394 0.889

## Properties
SG = No. 87
Total DFT energy (no corrections) = -7.570 eV per atom
Spin magnetization = 20.000 μB per formula unit
Energy relative to the elements = -3.17 eV/atom

=====

[4]
Entry from the Materials Project: a relaxed structure of BaSrNdMnO6 (PBE+U).

Lattice parameters (Å, degrees): 5.975 5.975 5.975 60.00 60.00 60.00
Sites, in units of the cell vectors:
1 Ba 0.000 0.000 0.000
2 Sr 0.500 0.500 0.500
3 Nd 0.250 0.250 0.250
4 Mn 0.750 0.750 0.750
5 O 0.522 0.522 0.978
6 O 0.522 0.978 0.522
7 O 0.522 0.978 0.978
8 O 0.978 0.522 0.522
9 O 0.978 0.522 0.978
10 O 0.978 0.978 0.522

## Properties
SG = No. 216
Total DFT energy (no corrections) = -6.873 eV per atom
Spin magnetization = 2.000 μB per formula unit
Energy relative to the elements = -2.73 eV/atom
Distance to the lowest polymorph of the same formula = 0.046 eV per formula unit